## Er2Ti3Si4 (GGA-PBE)

Data for a relaxed Er2Ti3Si4 crystal.

Cell lengths 7.022, 7.022, 12.900 Å; angles 90.00, 90.00, 90.00 degrees
Space group P4_12_12 (No. 92)
Unique sites:
Er1 0.002 0.341 0.033 x8
Ti1 0.008 0.151 0.624 x8
Ti2 0.173 0.827 0.750 x4
Si1 0.047 0.709 0.935 x8
Si2 0.132 0.203 0.816 x8



## KSn2F5 (GGA-PBE)

Data for a relaxed KSn2F5 crystal.

## Properties
relative energy among the computed polymorphs	122	meV per atom

Cell lengths 6.950, 5.354, 8.815 Å; angles 90.00, 92.50, 90.00 degrees
Space group Cm (No. 8)
Unique sites:
K1 0.000 0.000 0.000 x2
Sn1 0.213 0.500 0.387 x2
Sn2 0.354 0.000 0.682 x2
F1 0.006 0.000 0.335 x2
F2 0.103 0.248 0.730 x4
F3 0.158 0.500 0.159 x2
F4 0.362 0.000 0.916 x2



## SrIn2Au2 (GGA-PBE)

Data for a relaxed SrIn2Au2 crystal.

Cell lengths 8.690, 4.751, 12.475 Å; angles 90.00, 90.00, 90.00 degrees
Space group Pnma (No. 62)
Unique sites:
Sr1 0.211 0.250 0.168 x4
In1 0.094 0.250 0.447 x4
In2 0.154 0.250 0.861 x4
Au1 0.010 0.750 0.331 x4
Au2 0.093 0.750 0.984 x4



## Tb6Ni2Sn (GGA-PBE)

Data for a relaxed Tb6Ni2Sn crystal.

Cell lengths 9.469, 9.808, 10.024 Å; angles 90.00, 90.00, 90.00 degrees
Space group Immm (No. 71)
Unique sites:
Tb1 0.000 0.206 0.235 x8
Tb2 0.190 0.500 0.175 x8
Tb3 0.214 0.319 0.500 x8
Ni1 0.000 0.352 0.000 x4
Ni2 0.000 0.500 0.378 x4
Sn1 0.000 0.000 0.000 x2
Sn2 0.000 0.000 0.500 x2



## Na3CaMg3AlF14 (GGA-PBE)

Data for a relaxed Na3CaMg3AlF14 crystal.

Cell lengths 7.2731, 7.2731, 17.8728 Å; angles 90.00, 90.00, 120.00 degrees
Space group R-3m (No. 166, hexagonal axes)
Unique sites:
Na1 0.0000 0.5000 0.0000 x9
Ca1 0.0000 0.0000 0.5000 x3
Mg1 0.0000 0.5000 0.5000 x9
Al1 0.0000 0.0000 0.0000 x3
F1 0.0000 0.0000 0.3762 x6
F2 0.0616 0.5308 0.8600 x18
F3 0.0936 0.5468 0.6087 x18



## NbP2 (GGA-PBE)

Data for a relaxed NbP2 crystal.

Cell lengths 8.913, 3.293, 7.566 Å; angles 90.00, 118.99, 90.00 degrees
Space group C2/m (No. 12)
Unique sites:
Nb1 0.160 0.000 0.201 x4
P1 0.096 0.500 0.898 x4
P2 0.133 0.000 0.526 x4



## NdBr2 (GGA-PBE)

Data for a relaxed NdBr2 crystal.

Cell lengths 6.923, 4.062, 16.293 Å; angles 90.00, 90.00, 90.00 degrees
Space group Pnma (No. 62)
Unique sites:
Nd1 0.241 0.250 0.001 x4
Br1 0.084 0.250 0.387 x4
Br2 0.087 0.750 0.118 x4



## Th2Co7 (GGA-PBE)

Data for a relaxed Th2Co7 crystal.

## Properties
relative energy among the computed polymorphs	14	meV per atom

Cell lengths 4.9698, 4.9698, 24.8980 Å; angles 90.00, 90.00, 120.00 degrees
Space group P6_3/mmc (No. 194)
Unique sites:
Th1 0.3333 0.6667 0.0312 x4
Th2 0.3333 0.6667 0.1754 x4
Co1 0.0000 0.0000 0.0000 x2
Co2 0.0000 0.0000 0.1689 x4
Co3 0.1656 0.3313 0.5883 x12
Co4 0.1668 0.3337 0.7500 x6
Co5 0.3333 0.6667 0.6681 x4



no.,energy of formation from the pure elements (eV/atom)
1,-0.787
2,-2.591
3,-0.540
4,-0.387
5,-3.691
6,-0.676
7,-2.033
8,-0.150